1.
Crystalline Ho3Ge3Ir2 at its relaxed geometry, computed with PBE-GGA.

volume = 321.9 Å³ per cell
total energy = -105.5 eV for the cell shown
calculated formation energy = -929 meV per atom
space-group type = Cmcm (63)

abc: 5.6527 5.6527 14.2902
angles: 90.00 90.00 135.17
Element x y z (fractional)
1 Ho 0.0844 0.9156 0.6102
2 Ho 0.0844 0.9156 0.8898
3 Ho 0.3579 0.6421 0.7500
4 Ho 0.6421 0.3579 0.2500
5 Ho 0.9156 0.0844 0.1102
6 Ho 0.9156 0.0844 0.3898
7 Ge 0.3444 0.6556 0.2500
8 Ge 0.3769 0.6231 0.5351
9 Ge 0.3769 0.6231 0.9649
10 Ge 0.6231 0.3769 0.0351
11 Ge 0.6231 0.3769 0.4649
12 Ge 0.6556 0.3444 0.7500
13 Ir 0.2005 0.7995 0.1027
14 Ir 0.2005 0.7995 0.3973
15 Ir 0.7995 0.2005 0.6027
16 Ir 0.7995 0.2005 0.8973

***

2.
Crystalline Nd2Th3O9 at its relaxed geometry, computed with PBE-GGA.

volume = 224.1 Å³ per cell
total energy = -127.6 eV for the cell shown
total moment = 0.006 μB/cell
calculated formation energy = -4107 meV per atom
space-group type = I-4m2 (119)

abc: 14.4261 14.4261 14.4261
angles: 164.14 164.14 22.50
Element x y z (fractional)
1 Nd 0.1938 0.1938 0.0000
2 Nd 0.8062 0.8062 0.0000
3 Th 0.0000 0.0000 0.0000
4 Th 0.4004 0.4004 0.0000
5 Th 0.5996 0.5996 0.0000
6 O 0.0528 0.5528 0.5000
7 O 0.1550 0.6550 0.5000
8 O 0.3450 0.8450 0.5000
9 O 0.4472 0.9472 0.5000
10 O 0.5466 0.0466 0.5000
11 O 0.6440 0.1440 0.5000
12 O 0.7500 0.2500 0.5000
13 O 0.8560 0.3560 0.5000
14 O 0.9534 0.4534 0.5000

***

3.
Crystalline RbMg30BO32 at its relaxed geometry, computed with PBE-GGA.

volume = 641.1 Å³ per cell
total energy = -377.9 eV for the cell shown
total moment = 0.019 μB/cell
calculated formation energy = -2904 meV per atom
space-group type = P4/mmm (123)

abc: 8.7571 8.7571 8.3596
angles: 90.00 90.00 90.00
Element x y z (fractional)
1 Rb 0.0000 0.0000 0.0000
2 Mg 0.0000 0.2656 0.2558
3 Mg 0.0000 0.2656 0.7442
4 Mg 0.0000 0.5000 0.0000
5 Mg 0.0000 0.5000 0.5000
6 Mg 0.0000 0.7343 0.2558
7 Mg 0.0000 0.7343 0.7442
8 Mg 0.2477 0.2477 0.5000
9 Mg 0.2477 0.7523 0.5000
10 Mg 0.2517 0.5000 0.2507
11 Mg 0.2517 0.5000 0.7493
12 Mg 0.2534 0.2534 0.0000
13 Mg 0.2534 0.7466 0.0000
14 Mg 0.2656 0.0000 0.2558
15 Mg 0.2656 0.0000 0.7442
16 Mg 0.5000 0.0000 0.0000
17 Mg 0.5000 0.0000 0.5000
18 Mg 0.5000 0.2517 0.2507
19 Mg 0.5000 0.2517 0.7493
20 Mg 0.5000 0.5000 0.0000
21 Mg 0.5000 0.5000 0.5000
22 Mg 0.5000 0.7483 0.2507
23 Mg 0.5000 0.7483 0.7493
24 Mg 0.7343 0.0000 0.2558
25 Mg 0.7343 0.0000 0.7442
26 Mg 0.7466 0.2534 0.0000
27 Mg 0.7466 0.7466 0.0000
28 Mg 0.7483 0.5000 0.2507
29 Mg 0.7483 0.5000 0.7493
30 Mg 0.7523 0.2477 0.5000
31 Mg 0.7523 0.7523 0.5000
32 B 0.0000 0.0000 0.5000
33 O 0.0000 0.0000 0.3389
34 O 0.0000 0.0000 0.6611
35 O 0.0000 0.2674 0.5000
36 O 0.0000 0.2771 0.0000
37 O 0.0000 0.5000 0.2524
38 O 0.0000 0.5000 0.7476
39 O 0.0000 0.7229 0.0000
40 O 0.0000 0.7326 0.5000
41 O 0.2463 0.2463 0.2495
42 O 0.2463 0.2463 0.7505
43 O 0.2463 0.7537 0.2495
44 O 0.2463 0.7537 0.7505
45 O 0.2531 0.5000 0.5000
46 O 0.2559 0.5000 0.0000
47 O 0.2674 0.0000 0.5000
48 O 0.2771 0.0000 0.0000
49 O 0.5000 0.0000 0.2524
50 O 0.5000 0.0000 0.7476
51 O 0.5000 0.2531 0.5000
52 O 0.5000 0.2559 0.0000
53 O 0.5000 0.5000 0.2509
54 O 0.5000 0.5000 0.7491
55 O 0.5000 0.7441 0.0000
56 O 0.5000 0.7469 0.5000
57 O 0.7229 0.0000 0.0000
58 O 0.7326 0.0000 0.5000
59 O 0.7441 0.5000 0.0000
60 O 0.7469 0.5000 0.5000
61 O 0.7537 0.2463 0.2495
62 O 0.7537 0.2463 0.7505
63 O 0.7537 0.7537 0.2495
64 O 0.7537 0.7537 0.7505

***

4.
Crystalline DyPd3 at its relaxed geometry, computed with PBE-GGA.

volume = 70.4 Å³ per cell
total energy = -23.7 eV for the cell shown
calculated formation energy = -895 meV per atom
space-group type = Pm-3m (221)

abc: 4.1286 4.1286 4.1286
angles: 90.00 90.00 90.00
Element x y z (fractional)
1 Dy 0.0000 0.0000 0.0000
2 Pd 0.0000 0.5000 0.5000
3 Pd 0.5000 0.0000 0.5000
4 Pd 0.5000 0.5000 0.0000

***

5.
Crystalline Cs2RbAuF6 at its relaxed geometry, computed with PBE-GGA.

volume = 225.7 Å³ per cell
total energy = -38.1 eV for the cell shown
total moment = 1.999 μB/cell
calculated formation energy = -2330 meV per atom
space-group type = Fm-3m (225)

abc: 6.8337 6.8337 6.8337
angles: 60.00 60.00 60.00
Element x y z (fractional)
1 Cs 0.2500 0.2500 0.2500
2 Cs 0.7500 0.7500 0.7500
3 Rb 0.0000 0.0000 0.0000
4 Au 0.5000 0.5000 0.5000
5 F 0.2769 0.2769 0.7231
6 F 0.2769 0.7231 0.2769
7 F 0.2769 0.7231 0.7231
8 F 0.7231 0.2769 0.2769
9 F 0.7231 0.2769 0.7231
10 F 0.7231 0.7231 0.2769

***

6.
Crystalline GeS2 at its relaxed geometry, computed with PBE-GGA.

volume = 502.8 Å³ per cell
total energy = -83.0 eV for the cell shown
total moment = 0.002 μB/cell
calculated formation energy = -646 meV per atom
space-group type = P1 (1)

abc: 6.9511 6.9511 11.9958
angles: 99.93 99.93 113.90
Element x y z (fractional)
1 Ge 0.0000 0.0000 0.0000
2 Ge 0.0011 0.2687 0.7769
3 Ge 0.0036 0.2647 0.2784
4 Ge 0.4767 0.2352 0.2243
5 Ge 0.7378 0.2496 0.4960
6 Ge 0.9810 0.7380 0.7179
7 S 0.0426 0.2224 0.4601
8 S 0.2103 0.0882 0.7345
9 S 0.2127 0.5939 0.7596
10 S 0.3387 0.0203 0.0399
11 S 0.3463 0.4714 0.2606
12 S 0.4456 0.0307 0.3529
13 S 0.6797 0.1046 0.6484
14 S 0.7553 0.5923 0.5367
15 S 0.7709 0.6981 0.8494
16 S 0.8287 0.4631 0.2409
17 S 0.8418 0.9243 0.1456
18 S 0.9782 0.3032 0.9610

***

7.
Crystalline K3SmSi2O7 at its relaxed geometry, computed with PBE-GGA.

volume = 1287.9 Å³ per cell
total energy = -530.7 eV for the cell shown
total moment = 0.004 μB/cell
calculated formation energy = -3056 meV per atom
space-group type = P6_3/mcm (193)

abc: 10.0788 10.0788 14.6401
angles: 90.00 90.00 120.00
Element x y z (fractional)
1 K 0.0000 0.0000 0.0000
2 K 0.0000 0.0000 0.5000
3 K 0.0000 0.3309 0.0906
4 K 0.0000 0.3309 0.4094
5 K 0.0000 0.6691 0.5906
6 K 0.0000 0.6691 0.9094
7 K 0.3309 0.0000 0.0906
8 K 0.3309 0.0000 0.4094
9 K 0.3309 0.3309 0.5906
10 K 0.3309 0.3309 0.9094
11 K 0.3333 0.6667 0.2500
12 K 0.3333 0.6667 0.7500
13 K 0.6667 0.3333 0.2500
14 K 0.6667 0.3333 0.7500
15 K 0.6691 0.0000 0.5906
16 K 0.6691 0.0000 0.9094
17 K 0.6691 0.6691 0.0906
18 K 0.6691 0.6691 0.4094
19 Sm 0.0000 0.0000 0.2500
20 Sm 0.0000 0.0000 0.7500
21 Sm 0.3333 0.6667 0.0000
22 Sm 0.3333 0.6667 0.5000
23 Sm 0.6667 0.3333 0.0000
24 Sm 0.6667 0.3333 0.5000
25 Si 0.0000 0.3405 0.6433
26 Si 0.0000 0.3405 0.8567
27 Si 0.0000 0.6595 0.1433
28 Si 0.0000 0.6595 0.3567
29 Si 0.3405 0.0000 0.6433
30 Si 0.3405 0.0000 0.8567
31 Si 0.3405 0.3405 0.1433
32 Si 0.3405 0.3405 0.3567
33 Si 0.6595 0.0000 0.1433
34 Si 0.6595 0.0000 0.3567
35 Si 0.6595 0.6595 0.6433
36 Si 0.6595 0.6595 0.8567
37 O 0.0000 0.1780 0.6456
38 O 0.0000 0.1780 0.8544
39 O 0.0000 0.4033 0.7500
40 O 0.0000 0.5967 0.2500
41 O 0.0000 0.8220 0.1456
42 O 0.0000 0.8220 0.3544
43 O 0.1540 0.4757 0.5935
44 O 0.1540 0.4757 0.9065
45 O 0.1540 0.6783 0.0935
46 O 0.1540 0.6783 0.4065
47 O 0.1780 0.0000 0.6456
48 O 0.1780 0.0000 0.8544
49 O 0.1780 0.1780 0.1456
50 O 0.1780 0.1780 0.3544
51 O 0.3217 0.4757 0.0935
52 O 0.3217 0.4757 0.4065
53 O 0.3217 0.8460 0.5935
54 O 0.3217 0.8460 0.9065
55 O 0.4033 0.0000 0.7500
56 O 0.4033 0.4033 0.2500
57 O 0.4757 0.1540 0.5935
58 O 0.4757 0.1540 0.9065
59 O 0.4757 0.3217 0.0935
60 O 0.4757 0.3217 0.4065
61 O 0.5243 0.6783 0.5935
62 O 0.5243 0.6783 0.9065
63 O 0.5243 0.8460 0.0935
64 O 0.5243 0.8460 0.4065
65 O 0.5967 0.0000 0.2500
66 O 0.5967 0.5967 0.7500
67 O 0.6783 0.1540 0.0935
68 O 0.6783 0.1540 0.4065
69 O 0.6783 0.5243 0.5935
70 O 0.6783 0.5243 0.9065
71 O 0.8220 0.0000 0.1456
72 O 0.8220 0.0000 0.3544
73 O 0.8220 0.8220 0.6456
74 O 0.8220 0.8220 0.8544
75 O 0.8460 0.3217 0.5935
76 O 0.8460 0.3217 0.9065
77 O 0.8460 0.5243 0.0935
78 O 0.8460 0.5243 0.4065

***

8.
Crystalline UIr at its relaxed geometry, computed with PBE-GGA.

volume = 310.2 Å³ per cell
total energy = -162.1 eV for the cell shown
total moment = 0.025 μB/cell
calculated formation energy = -65 meV per atom
space-group type = P-1 (2)

abc: 4.6763 6.7457 10.2583
angles: 79.78 82.31 78.26
Element x y z (fractional)
1 U 0.1089 0.4604 0.2444
2 U 0.2508 0.9677 0.7714
3 U 0.2666 0.6045 0.9073
4 U 0.3101 0.0066 0.0959
5 U 0.6899 0.9934 0.9041
6 U 0.7334 0.3955 0.0927
7 U 0.7492 0.0323 0.2286
8 U 0.8911 0.5396 0.7556
9 Ir 0.0682 0.3023 0.5477
10 Ir 0.1988 0.0215 0.3843
11 Ir 0.3950 0.7268 0.5861
12 Ir 0.4835 0.6708 0.3108
13 Ir 0.5165 0.3292 0.6892
14 Ir 0.6050 0.2732 0.4139
15 Ir 0.8012 0.9785 0.6157
16 Ir 0.9318 0.6977 0.4523